[1]
{
  "formula": "Rb2YInI6",
  "functional": "GGA-PBE",
  "state": "relaxed",
  "lattice_angstrom": [[2.8014, -8.4816, -1.1239], [3.4269, -4.5682, 6.9596], [-4.6434, -6.7950, 3.6489]],
  "species": ["Rb", "Rb", "Y", "In", "I", "I", "I", "I", "I", "I"],
  "fractional_positions": [[0.7500, 0.7500, 0.7500], [0.2500, 0.2500, 0.2500], [0.0000, 0.0000, 0.0000], [0.5000, 0.5000, 0.5000], [0.7621, 0.2379, 0.2379], [0.2379, 0.2379, 0.7621], [0.2379, 0.7621, 0.7621], [0.2379, 0.7621, 0.2379], [0.7621, 0.2379, 0.7621], [0.7621, 0.7621, 0.2379]],
  "magnetic_moment_mub_per_fu": 0.0,
  "space_group": "Fm-3m"
}


[2]
{
  "formula": "CsMo3Se3",
  "functional": "GGA-PBE",
  "state": "relaxed",
  "lattice_angstrom": [[-4.9937, 4.6432, 7.4514], [0.2833, -10.0898, -0.3686], [3.7731, 0.0139, 2.5200]],
  "species": ["Cs", "Cs", "Mo", "Mo", "Mo", "Mo", "Mo", "Mo", "Se", "Se", "Se", "Se", "Se", "Se"],
  "fractional_positions": [[0.3333, 0.6667, 0.2500], [0.6667, 0.3333, 0.7500], [0.1389, 0.1628, 0.2500], [0.8611, 0.8372, 0.7500], [0.8372, 0.9761, 0.2500], [0.0239, 0.8611, 0.2500], [0.9761, 0.1389, 0.7500], [0.1628, 0.0239, 0.7500], [0.9516, 0.2743, 0.2500], [0.0484, 0.7257, 0.7500], [0.7257, 0.6772, 0.2500], [0.3228, 0.0484, 0.2500], [0.6772, 0.9516, 0.7500], [0.2743, 0.3228, 0.7500]],
  "space_group": "P6_3/m"
}


[3]
{
  "formula": "Li9Mg3P4O16F3",
  "functional": "GGA-PBE",
  "state": "relaxed",
  "lattice_angstrom": [[0.6112, 10.3887, 7.3855], [-1.2860, -11.5341, 5.3061], [5.0434, -0.4580, 0.2268]],
  "species": ["Li", "Li", "Li", "Li", "Li", "Li", "Li", "Li", "Li", "Li", "Li", "Li", "Li", "Li", "Li", "Li", "Li", "Li", "Mg", "Mg", "Mg", "Mg", "Mg", "Mg", "P", "P", "P", "P", "P", "P", "P", "P", "O", "O", "O", "O", "O", "O", "O", "O", "O", "O", "O", "O", "O", "O", "O", "O", "O", "O", "O", "O", "O", "O", "O", "O", "O", "O", "O", "O", "O", "O", "O", "O", "F", "F", "F", "F", "F", "F"],
  "fractional_positions": [[0.1684, 0.0834, 0.8471], [0.9150, 0.8316, 0.8471], [0.9166, 0.0850, 0.8471], [0.8316, 0.9166, 0.3471], [0.0850, 0.1684, 0.3471], [0.0834, 0.9150, 0.3471], [0.3951, 0.5697, 0.8008], [0.1746, 0.6049, 0.8008], [0.4303, 0.8254, 0.8008], [0.6049, 0.4303, 0.3008], [0.8254, 0.3951, 0.3008], [0.5697, 0.1746, 0.3008], [0.3341, 0.4205, 0.2700], [0.0864, 0.6659, 0.2700], [0.5795, 0.9136, 0.2700], [0.6659, 0.5795, 0.7700], [0.9136, 0.3341, 0.7700], [0.4205, 0.0864, 0.7700], [0.4252, 0.3578, 0.7690], [0.9326, 0.5748, 0.7690], [0.6422, 0.0674, 0.7690], [0.5748, 0.6422, 0.2690], [0.0674, 0.4252, 0.2690], [0.3578, 0.9326, 0.2690], [0.1532, 0.3193, 0.7542], [0.1661, 0.8468, 0.7542], [0.6807, 0.8339, 0.7542], [0.8468, 0.6807, 0.2542], [0.8339, 0.1532, 0.2542], [0.3193, 0.1661, 0.2542], [0.3333, 0.6667, 0.2951], [0.6667, 0.3333, 0.7951], [0.2024, 0.5982, 0.1857], [0.3958, 0.7976, 0.1857], [0.4018, 0.6042, 0.1857], [0.7976, 0.4018, 0.6857], [0.6042, 0.2024, 0.6857], [0.5982, 0.3958, 0.6857], [0.0915, 0.1779, 0.7525], [0.0864, 0.9085, 0.7525], [0.8221, 0.9136, 0.7525], [0.9085, 0.8221, 0.2525], [0.9136, 0.0915, 0.2525], [0.1779, 0.0864, 0.2525], [0.2810, 0.3787, 0.8816], [0.0977, 0.7190, 0.8816], [0.6213, 0.9023, 0.8816], [0.7190, 0.6213, 0.3816], [0.9023, 0.2810, 0.3816], [0.3787, 0.0977, 0.3816], [0.0738, 0.3581, 0.9060], [0.2843, 0.9262, 0.9060], [0.6419, 0.7157, 0.9060], [0.9262, 0.6419, 0.4060], [0.7157, 0.0738, 0.4060], [0.3581, 0.2843, 0.4060], [0.1664, 0.3596, 0.4579], [0.1932, 0.8336, 0.4579], [0.6404, 0.8068, 0.4579], [0.8336, 0.6404, 0.9579], [0.8068, 0.1664, 0.9579], [0.3596, 0.1932, 0.9579], [0.3333, 0.6667, 0.6038], [0.6667, 0.3333, 0.1038], [0.4835, 0.5228, 0.5739], [0.0394, 0.5165, 0.5739], [0.4772, 0.9606, 0.5739], [0.5165, 0.4772, 0.0739], [0.9606, 0.4835, 0.0739], [0.5228, 0.0394, 0.0739]],
  "magnetic_moment_mub_per_fu": 0.0,
  "space_group": "P6_3"
}


[4]
{
  "formula": "Bi2AsO6",
  "functional": "GGA-PBE",
  "state": "relaxed",
  "lattice_angstrom": [[7.0935, 0.0000, 0.0000], [0.0000, 7.1579, 0.0000], [0.0000, 3.4046, 10.3623]],
  "species": ["Bi", "Bi", "Bi", "Bi", "Bi", "Bi", "Bi", "Bi", "As", "As", "As", "As", "O", "O", "O", "O", "O", "O", "O", "O", "O", "O", "O", "O", "O", "O", "O", "O", "O", "O", "O", "O", "O", "O", "O", "O"],
  "fractional_positions": [[0.9089, 0.7413, 0.9768], [0.4089, 0.2587, 0.5232], [0.0911, 0.2587, 0.0232], [0.5911, 0.7413, 0.4768], [0.3676, 0.5963, 0.1776], [0.8676, 0.4037, 0.3224], [0.6324, 0.4037, 0.8224], [0.1324, 0.5963, 0.6776], [0.0719, 0.8702, 0.3288], [0.5719, 0.1298, 0.1712], [0.9281, 0.1298, 0.6712], [0.4281, 0.8702, 0.8288], [0.0798, 0.4949, 0.1131], [0.5798, 0.5051, 0.3869], [0.9202, 0.5051, 0.8869], [0.4202, 0.4949, 0.6131], [0.7208, 0.5729, 0.1438], [0.2208, 0.4271, 0.3562], [0.2792, 0.4271, 0.8562], [0.7792, 0.5729, 0.6438], [0.1367, 0.8210, 0.1893], [0.6367, 0.1790, 0.3107], [0.8633, 0.1790, 0.8107], [0.3633, 0.8210, 0.6893], [0.2272, 0.8236, 0.4562], [0.7272, 0.1764, 0.0438], [0.7728, 0.1764, 0.5438], [0.2728, 0.8236, 0.9562], [0.8872, 0.7081, 0.3876], [0.3872, 0.2919, 0.1124], [0.1128, 0.2919, 0.6124], [0.6128, 0.7081, 0.8876], [0.0130, 0.1135, 0.2728], [0.5130, 0.8865, 0.2272], [0.9870, 0.8865, 0.7272], [0.4870, 0.1135, 0.7728]],
  "magnetic_moment_mub_per_fu": 0.0,
  "space_group": "P2_1/c"
}


Results for ΔH_f (0 K): -1454.9, -928.3, -2942.6, -1579.5 (in meV/atom, following the order of the records).
Results for calculated density: 3.7, 5.4, 2.7, 7.4 (in g/cm3, following the order of the records).